Entry 1:
Computed, not measured: an optimized crystal structure of Ba3Si6N2O12 at the PBE-GGA level of DFT.

Values from the calculation:
- Formation energy from the elements: -3.04 eV/atom
- Total moment: 0.00 μB/atom

```
Ba3Si6N2O12
1.0
7.5957 0.0000 0.0000
-3.7978 6.5781 0.0000
0.0000 0.0000 6.5959
Ba Si N O
3 6 2 12
Direct
0.0000 0.0000 0.0000
0.3333 0.6667 0.1017
0.6667 0.3333 0.8983
0.1714 0.4076 0.6096
0.2362 0.8286 0.6096
0.4076 0.2362 0.3904
0.5924 0.7638 0.6096
0.7638 0.1714 0.3904
0.8286 0.5924 0.3904
0.3333 0.6667 0.5627
0.6667 0.3333 0.4373
0.0147 0.3185 0.4114
0.0638 0.3617 0.8276
0.2980 0.9362 0.8276
0.3037 0.9853 0.4114
0.3185 0.3037 0.5886
0.3617 0.2980 0.1724
0.6383 0.7020 0.8276
0.6815 0.6963 0.4114
0.6963 0.0147 0.5886
0.7020 0.0638 0.1724
0.9362 0.6383 0.1724
0.9853 0.6815 0.5886
```


Entry 2:
Computed, not measured: an optimized crystal structure of BaSi2N2O2 at the PBE-GGA level of DFT.

Values from the calculation:
- Formation energy from the elements: -2.24 eV/atom
- Total moment: 0.00 μB/atom

```
BaSi2N2O2
1.0
7.2776 -2.6941 0.0000
7.2776 2.6941 0.0000
0.0000 0.0000 4.8835
Ba Si N O
2 4 4 4
Direct
0.2444 0.7556 0.5000
0.7556 0.2444 0.0000
0.1381 0.4614 0.0449
0.4614 0.1381 0.5449
0.5386 0.8619 0.0449
0.8619 0.5386 0.5449
0.1481 0.4084 0.3976
0.4084 0.1481 0.8976
0.5916 0.8519 0.3976
0.8519 0.5916 0.8976
0.1675 0.6460 0.9949
0.3540 0.8325 0.9949
0.6460 0.1675 0.4949
0.8325 0.3540 0.4949
```


Entry 3:
Computed, not measured: an optimized crystal structure of Ba3Si6N4O9 at the PBE-GGA level of DFT.

Values from the calculation:
- Formation energy from the elements: -2.68 eV/atom
- Maximum piezoelectric response: 0.2 C/m2
- Total moment: 0.00 μB/atom

```
Ba3Si6N4O9
1.0
7.3237 0.0000 0.0000
-3.6618 6.3425 0.0000
0.0000 0.0000 6.8852
Ba Si N O
3 6 4 9
Direct
0.0000 0.0000 0.0000
0.3333 0.6667 0.0614
0.6667 0.3333 0.8738
0.1176 0.4078 0.5693
0.2902 0.8824 0.5693
0.4137 0.2936 0.3583
0.5922 0.7098 0.5693
0.7064 0.1201 0.3583
0.8799 0.5863 0.3583
0.0921 0.6280 0.5053
0.3720 0.4641 0.5053
0.5359 0.9079 0.5053
0.6667 0.3333 0.4076
0.0591 0.3496 0.7951
0.2570 0.0417 0.4185
0.2905 0.9409 0.7951
0.3773 0.3236 0.1317
0.6504 0.7095 0.7951
0.6764 0.0537 0.1317
0.7847 0.7430 0.4185
0.9463 0.6227 0.1317
0.9583 0.2153 0.4185
```


Entry 4:
Computed, not measured: an optimized crystal structure of BaTaNO2 at the PBE-GGA level of DFT.

Values from the calculation:
- Formation energy from the elements: -2.56 eV/atom
- Total moment: 0.00 μB/atom

```
BaTaNO2
1.0
4.1341 0.0000 0.0000
0.0000 4.1341 0.0000
0.0000 0.0000 4.1431
Ba Ta N O
1 1 1 2
Direct
0.0000 0.0000 0.0000
0.5000 0.5000 0.5000
0.5000 0.5000 0.0000
0.0000 0.5000 0.5000
0.5000 0.0000 0.5000
```